Entry from the Materials Project database: Sr4Mn2Bi4O13 after structural relaxation (PBE+U).

Values from the calculation:
Crystal system: orthorhombic
Calculated total energy: -6.32 eV/atom

```
data_Sr4Mn2Bi4O13
_chemical_formula_sum 'Sr32 Mn16 Bi32 O104'
_symmetry_space_group_name_H-M 'P n a 21'
_symmetry_Int_Tables_number 33
_cell_length_a 22.224
_cell_length_b 23.775
_cell_length_c 5.532
_cell_angle_alpha 90.00
_cell_angle_beta 90.00
_cell_angle_gamma 90.00
loop_
_symmetry_equiv_pos_as_xyz
'x,y,z'
'-x,-y,z+1/2'
'-x+1/2,y+1/2,z+1/2'
'x+1/2,-y+1/2,z'
loop_
_atom_site_label
_atom_site_type_symbol
_atom_site_fract_x
_atom_site_fract_y
_atom_site_fract_z
Sr1 Sr 0.002 0.192 0.004
Sr2 Sr 0.010 0.647 0.497
Sr3 Sr 0.117 0.819 0.007
Sr4 Sr 0.119 0.191 0.504
Sr5 Sr 0.131 0.351 0.499
Sr6 Sr 0.138 0.667 0.002
Sr7 Sr 0.237 0.833 0.500
Sr8 Sr 0.239 0.181 0.006
Mn1 Mn 0.003 0.723 0.001
Mn2 Mn 0.125 0.275 0.001
Mn3 Mn 0.126 0.738 0.504
Mn4 Mn 0.249 0.258 0.502
Bi1 Bi 0.002 0.552 0.006
Bi2 Bi 0.004 0.074 0.483
Bi3 Bi 0.108 0.934 0.529
Bi4 Bi 0.117 0.074 0.984
Bi5 Bi 0.129 0.446 0.012
Bi6 Bi 0.149 0.556 0.484
Bi7 Bi 0.228 0.943 0.981
Bi8 Bi 0.231 0.068 0.527
O1 O 0.002 0.162 0.524
O2 O 0.010 0.079 0.093
O3 O 0.032 0.638 0.985
O4 O 0.057 0.546 0.416
O5 O 0.059 0.274 0.242
O6 O 0.061 0.415 0.240
O7 O 0.062 0.737 0.261
O8 O 0.063 0.417 0.742
O9 O 0.064 0.274 0.741
O10 O 0.066 0.742 0.760
O11 O 0.099 0.928 0.913
O12 O 0.110 0.079 0.595
O13 O 0.115 0.846 0.480
O14 O 0.118 0.163 0.023
O15 O 0.142 0.649 0.517
O16 O 0.157 0.361 0.984
O17 O 0.172 0.566 0.102
O18 O 0.179 0.451 0.413
O19 O 0.185 0.263 0.261
O20 O 0.187 0.749 0.245
O21 O 0.189 0.259 0.760
O22 O 0.190 0.752 0.745
O23 O 0.207 0.940 0.597
O24 O 0.219 0.073 0.912
O25 O 0.233 0.853 0.016
O26 O 0.234 0.157 0.480
```

---

Entry from the Materials Project database: Mn12O7F17 after structural relaxation (PBE+U).

Values from the calculation:
Crystal system: triclinic
Calculated total energy: -6.57 eV/atom
Relative energy among the computed polymorphs: 15.6 meV/atom

```
data_Mn12O7F17
_chemical_formula_sum 'Mn12 O7 F17'
_symmetry_space_group_name_H-M 'P 1'
_symmetry_Int_Tables_number 1
_cell_length_a 4.787
_cell_length_b 5.782
_cell_length_c 15.889
_cell_angle_alpha 90.20
_cell_angle_beta 90.45
_cell_angle_gamma 92.73
loop_
_symmetry_equiv_pos_as_xyz
'x,y,z'
loop_
_atom_site_label
_atom_site_type_symbol
_atom_site_fract_x
_atom_site_fract_y
_atom_site_fract_z
Mn1 Mn 0.000 0.000 0.000
Mn2 Mn 0.002 0.287 0.497
Mn3 Mn 0.005 0.989 0.655
Mn4 Mn 0.021 0.976 0.334
Mn5 Mn 0.027 0.308 0.836
Mn6 Mn 0.032 0.301 0.161
Mn7 Mn 0.500 0.794 0.826
Mn8 Mn 0.503 0.481 0.317
Mn9 Mn 0.523 0.803 0.156
Mn10 Mn 0.541 0.468 0.983
Mn11 Mn 0.557 0.472 0.654
Mn12 Mn 0.560 0.807 0.497
O1 O 0.296 0.536 0.207
O2 O 0.315 0.511 0.882
O3 O 0.758 0.760 0.600
O4 O 0.808 0.028 0.445
O5 O 0.810 0.034 0.111
O6 O 0.815 0.261 0.939
O7 O 0.824 0.245 0.603
F1 F 0.242 0.272 0.391
F2 F 0.251 0.252 0.721
F3 F 0.252 0.019 0.892
F4 F 0.268 0.766 0.711
F5 F 0.272 0.263 0.058
F6 F 0.277 0.037 0.226
F7 F 0.285 0.039 0.553
F8 F 0.295 0.531 0.541
F9 F 0.309 0.762 0.043
F10 F 0.328 0.772 0.390
F11 F 0.756 0.759 0.264
F12 F 0.763 0.528 0.427
F13 F 0.764 0.532 0.093
F14 F 0.764 0.541 0.768
F15 F 0.769 0.759 0.931
F16 F 0.788 0.046 0.776
F17 F 0.815 0.263 0.270
```

---

Entry from the Materials Project database: Li2CoPHO5 after structural relaxation (PBE+U).

Values from the calculation:
Crystal system: triclinic
Calculated total energy: -6.14 eV/atom

```
data_Li2CoPHO5
_chemical_formula_sum 'Li8 Co4 P4 H4 O20'
_symmetry_space_group_name_H-M 'P -1'
_symmetry_Int_Tables_number 2
_cell_length_a 5.384
_cell_length_b 7.507
_cell_length_c 10.810
_cell_angle_alpha 101.04
_cell_angle_beta 101.07
_cell_angle_gamma 109.82
loop_
_symmetry_equiv_pos_as_xyz
'x,y,z'
'-x,-y,-z'
loop_
_atom_site_label
_atom_site_type_symbol
_atom_site_fract_x
_atom_site_fract_y
_atom_site_fract_z
Li1 Li 0.048 0.224 0.066
Li2 Li 0.080 0.509 0.802
Li3 Li 0.423 0.991 0.698
Li4 Li 0.448 0.277 0.433
Co1 Co 0.000 0.000 0.500
Co2 Co 0.000 0.500 0.500
Co3 Co 0.500 0.000 0.000
Co4 Co 0.500 0.500 0.000
P1 P 0.017 0.946 0.189
P2 P 0.479 0.555 0.311
H1 H 0.250 0.684 0.052
H2 H 0.259 0.819 0.451
O1 O 0.114 0.282 0.874
O2 O 0.182 0.001 0.336
O3 O 0.192 0.801 0.528
O4 O 0.203 0.964 0.825
O5 O 0.225 0.037 0.114
O6 O 0.272 0.462 0.386
O7 O 0.300 0.535 0.676
O8 O 0.308 0.699 0.973
O9 O 0.314 0.501 0.164
O10 O 0.391 0.217 0.626
```

---

Entry from the Materials Project database: MgMn3Cd2O8 after structural relaxation (PBE+U).

Values from the calculation:
Crystal system: triclinic
Calculated total energy: -6.17 eV/atom
Relative energy among the computed polymorphs: 14.0 meV/atom

```
data_MgMn3Cd2O8
_chemical_formula_sum 'Mg1 Mn3 Cd2 O8'
_symmetry_space_group_name_H-M 'P 1'
_symmetry_Int_Tables_number 1
_cell_length_a 5.337
_cell_length_b 5.850
_cell_length_c 6.232
_cell_angle_alpha 71.14
_cell_angle_beta 89.52
_cell_angle_gamma 63.67
loop_
_symmetry_equiv_pos_as_xyz
'x,y,z'
loop_
_atom_site_label
_atom_site_type_symbol
_atom_site_fract_x
_atom_site_fract_y
_atom_site_fract_z
Mg1 Mg 0.000 0.000 0.000
Mn1 Mn 0.287 0.453 0.130
Mn2 Mn 0.289 0.444 0.636
Mn3 Mn 0.736 0.554 0.864
Cd1 Cd 0.583 0.841 0.288
Cd2 Cd 0.957 0.084 0.501
O1 O 0.235 0.250 0.951
O2 O 0.274 0.683 0.308
O3 O 0.299 0.736 0.859
O4 O 0.300 0.200 0.419
O5 O 0.699 0.312 0.717
O6 O 0.703 0.261 0.152
O7 O 0.874 0.694 0.052
O8 O 0.889 0.697 0.596
```

---

Entry from the Materials Project database: K2W4O13 after structural relaxation (PBE+U).

Values from the calculation:
Crystal system: triclinic
Calculated total energy: -7.08 eV/atom

```
data_K2W4O13
_chemical_formula_sum 'K6 W12 O39'
_symmetry_space_group_name_H-M 'P 1'
_symmetry_Int_Tables_number 1
_cell_length_a 3.886
_cell_length_b 15.991
_cell_length_c 16.014
_cell_angle_alpha 119.89
_cell_angle_beta 90.03
_cell_angle_gamma 90.01
loop_
_symmetry_equiv_pos_as_xyz
'x,y,z'
loop_
_atom_site_label
_atom_site_type_symbol
_atom_site_fract_x
_atom_site_fract_y
_atom_site_fract_z
K1 K 0.000 0.000 0.000
K2 K 0.000 0.120 0.305
K3 K 0.027 0.804 0.494
K4 K 0.054 0.492 0.678
K5 K 0.055 0.305 0.810
K6 K 0.055 0.621 0.997
W1 W 0.496 0.536 0.315
W2 W 0.499 0.896 0.763
W3 W 0.500 0.984 0.406
W4 W 0.503 0.354 0.404
W5 W 0.504 0.893 0.133
W6 W 0.505 0.169 0.950
W7 W 0.550 0.257 0.583
W8 W 0.550 0.717 0.856
W9 W 0.553 0.629 0.583
W10 W 0.554 0.073 0.673
W11 W 0.554 0.443 0.045
W12 W 0.555 0.716 0.229
O1 O 0.015 0.365 0.418
O2 O 0.015 0.884 0.133
O3 O 0.016 0.168 0.936
O4 O 0.017 0.541 0.324
O5 O 0.018 0.901 0.762
O6 O 0.018 0.978 0.400
O7 O 0.036 0.636 0.591
O8 O 0.037 0.072 0.666
O9 O 0.037 0.711 0.229
O10 O 0.039 0.248 0.574
O11 O 0.039 0.727 0.858
O12 O 0.040 0.445 0.052
O13 O 0.509 0.237 0.302
O14 O 0.511 0.168 0.059
O15 O 0.512 0.001 0.126
O16 O 0.517 0.027 0.873
O17 O 0.517 0.963 0.273
O18 O 0.518 0.429 0.340
O19 O 0.523 0.461 0.184
O20 O 0.523 0.988 0.526
O21 O 0.524 0.775 0.647
O22 O 0.525 0.655 0.313
O23 O 0.526 0.116 0.456
O24 O 0.526 0.845 0.845
O25 O 0.527 0.805 0.995
O26 O 0.528 0.306 0.996
O27 O 0.528 0.308 0.497
O28 O 0.528 0.497 0.535
O29 O 0.528 0.767 0.147
O30 O 0.530 0.155 0.804
O31 O 0.530 0.957 0.677
O32 O 0.531 0.624 0.464
O33 O 0.531 0.838 0.344
O34 O 0.538 0.184 0.652
O35 O 0.538 0.649 0.717
O36 O 0.539 0.585 0.116
O37 O 0.541 0.437 0.929
O38 O 0.542 0.610 0.865
O39 O 0.543 0.372 0.692
```

---

Entry from the Materials Project database: Mg2VWO6 after structural relaxation (PBE+U).

Values from the calculation:
Crystal system: monoclinic
Calculated total energy: -7.00 eV/atom
Relative energy among the computed polymorphs: 88.0 meV/atom

```
data_Mg2VWO6
_chemical_formula_sum 'Mg4 V2 W2 O12'
_symmetry_space_group_name_H-M 'P 1 21/c 1'
_symmetry_Int_Tables_number 14
_cell_length_a 5.211
_cell_length_b 5.374
_cell_length_c 9.222
_cell_angle_alpha 90.00
_cell_angle_beta 123.82
_cell_angle_gamma 90.00
loop_
_symmetry_equiv_pos_as_xyz
'x,y,z'
'-x,-y,-z'
'-x,y+1/2,-z+1/2'
'x,-y+1/2,z+1/2'
loop_
_atom_site_label
_atom_site_type_symbol
_atom_site_fract_x
_atom_site_fract_y
_atom_site_fract_z
Mg1 Mg 0.246 0.046 0.248
V1 V 0.000 0.000 0.500
W1 W 0.500 0.000 0.000
O1 O 0.114 0.177 0.934
O2 O 0.251 0.683 0.929
O3 O 0.381 0.077 0.754
```

---

Entry from the Materials Project database: LaMoBrO4 after structural relaxation (PBE+U).

Values from the calculation:
Crystal system: monoclinic
Calculated total energy: -7.02 eV/atom

```
data_LaMoBrO4
_chemical_formula_sum 'La4 Mo4 Br4 O16'
_symmetry_space_group_name_H-M 'P 1 c 1'
_symmetry_Int_Tables_number 7
_cell_length_a 9.942
_cell_length_b 5.966
_cell_length_c 8.129
_cell_angle_alpha 90.00
_cell_angle_beta 90.19
_cell_angle_gamma 90.00
loop_
_symmetry_equiv_pos_as_xyz
'x,y,z'
'x,-y,z+1/2'
loop_
_atom_site_label
_atom_site_type_symbol
_atom_site_fract_x
_atom_site_fract_y
_atom_site_fract_z
La1 La 0.000 0.046 0.000
La2 La 0.437 0.452 0.248
Mo1 Mo 0.578 0.005 0.031
Mo2 Mo 0.858 0.492 0.781
Br1 Br 0.192 0.496 0.996
Br2 Br 0.244 0.002 0.247
O1 O 0.490 0.267 0.520
O2 O 0.494 0.267 0.969
O3 O 0.566 0.060 0.249
O4 O 0.683 0.489 0.742
O5 O 0.753 0.010 0.496
O6 O 0.869 0.437 0.999
O7 O 0.942 0.234 0.269
O8 O 0.946 0.234 0.722
```

---

Entry from the Materials Project database: Co2As2O7 after structural relaxation (PBE+U).

Values from the calculation:
Crystal system: triclinic
Calculated total energy: -6.12 eV/atom
Relative energy among the computed polymorphs: 6.0 meV/atom

```
data_Co2As2O7
_chemical_formula_sum 'Co2 As2 O7'
_symmetry_space_group_name_H-M 'P 1'
_symmetry_Int_Tables_number 1
_cell_length_a 4.861
_cell_length_b 5.450
_cell_length_c 5.456
_cell_angle_alpha 105.33
_cell_angle_beta 97.34
_cell_angle_gamma 97.46
loop_
_symmetry_equiv_pos_as_xyz
'x,y,z'
loop_
_atom_site_label
_atom_site_type_symbol
_atom_site_fract_x
_atom_site_fract_y
_atom_site_fract_z
Co1 Co 0.000 0.000 0.000
Co2 Co 0.002 0.384 0.617
As1 As 0.403 0.928 0.542
As2 As 0.601 0.450 0.067
O1 O 0.210 0.760 0.706
O2 O 0.212 0.094 0.376
O3 O 0.273 0.288 0.905
O4 O 0.511 0.695 0.306
O5 O 0.726 0.097 0.712
O6 O 0.792 0.285 0.236
O7 O 0.794 0.618 0.903
```

---

One value per record, in order, for formation energy from the elements: -2292; -2561; -2203; -1883; -2254; -2528; -2553; -1565 meV/atom.